Here is an optimized crystal structure of Na3DyP2O8 from the Materials Project. Energies are from PBE.

Unit cell a=13.9488 b=5.3262 c=18.5853 alpha=90.00 beta=90.00 gamma=90.00
Element x y z (fractional)
Na (0.0314, 0.0383, 0.1046)
Na (0.0481, 0.4938, 0.3433)
Na (0.1121, 0.0008, 0.4430)
Na (0.1384, 0.4977, 0.1646)
Na (0.2027, 0.9805, 0.2635)
Na (0.2169, 0.5082, 0.5000)
Na (0.2831, 0.5082, 0.0000)
Na (0.2973, 0.9805, 0.7635)
Na (0.3616, 0.4977, 0.6646)
Na (0.3879, 0.0008, 0.9430)
Na (0.4519, 0.4938, 0.8433)
Na (0.4686, 0.0383, 0.6046)
Na (0.5314, 0.9617, 0.1046)
Na (0.5481, 0.5062, 0.3433)
Na (0.6121, 0.9992, 0.4430)
Na (0.6384, 0.5023, 0.1646)
Na (0.7027, 0.0195, 0.2635)
Na (0.7169, 0.4918, 0.5000)
Na (0.7831, 0.4918, 0.0000)
Na (0.7973, 0.0195, 0.7635)
Na (0.8616, 0.5023, 0.6646)
Na (0.8879, 0.9992, 0.9430)
Na (0.9519, 0.5062, 0.8433)
Na (0.9686, 0.9617, 0.6046)
Dy (0.1112, 0.4279, 0.6882)
Dy (0.1384, 0.0571, 0.9194)
Dy (0.3616, 0.0571, 0.4194)
Dy (0.3888, 0.4279, 0.1882)
Dy (0.6112, 0.5721, 0.6882)
Dy (0.6384, 0.9429, 0.9194)
Dy (0.8616, 0.9429, 0.4194)
Dy (0.8888, 0.5721, 0.1882)
P (0.0246, 0.5309, 0.0112)
P (0.0268, 0.9799, 0.7676)
P (0.2224, 0.5080, 0.8396)
P (0.2264, 0.9617, 0.5963)
P (0.2736, 0.9617, 0.0963)
P (0.2776, 0.5080, 0.3396)
P (0.4732, 0.9799, 0.2676)
P (0.4754, 0.5309, 0.5112)
P (0.5246, 0.4691, 0.0112)
P (0.5268, 0.0201, 0.7676)
P (0.7224, 0.4920, 0.8396)
P (0.7264, 0.0383, 0.5963)
P (0.7736, 0.0383, 0.0963)
P (0.7776, 0.4920, 0.3396)
P (0.9732, 0.0201, 0.2676)
P (0.9754, 0.4691, 0.5112)
O (0.0000, 0.2731, 0.2309)
O (0.0000, 0.7269, 0.7309)
O (0.0025, 0.0263, 0.3485)
O (0.0016, 0.5080, 0.0931)
O (0.0273, 0.8022, 0.2286)
O (0.0412, 0.8140, 0.9915)
O (0.0571, 0.5805, 0.4652)
O (0.1141, 0.4537, 0.8446)
O (0.1187, 0.3785, 0.9983)
O (0.1325, 0.1150, 0.6078)
O (0.1350, 0.0356, 0.7618)
O (0.1917, 0.0736, 0.1420)
O (0.2084, 0.6807, 0.6182)
O (0.2244, 0.2925, 0.3806)
O (0.2464, 0.5080, 0.2591)
O (0.2491, 0.7632, 0.8746)
O (0.2505, 0.9691, 0.0143)
O (0.2495, 0.9691, 0.5143)
O (0.2509, 0.7632, 0.3746)
O (0.2536, 0.5080, 0.7591)
O (0.2756, 0.2925, 0.8806)
O (0.2916, 0.6807, 0.1182)
O (0.3083, 0.0736, 0.6420)
O (0.3650, 0.0356, 0.2618)
O (0.3675, 0.1150, 0.1078)
O (0.3813, 0.3785, 0.4983)
O (0.3859, 0.4537, 0.3446)
O (0.4429, 0.5805, 0.9652)
O (0.4588, 0.8140, 0.4915)
O (0.4727, 0.8022, 0.7286)
O (0.4975, 0.0263, 0.8485)
O (0.4984, 0.5080, 0.5931)
O (0.5000, 0.2731, 0.7309)
O (0.5000, 0.7269, 0.2309)
O (0.5016, 0.4920, 0.0931)
O (0.5025, 0.9737, 0.3485)
O (0.5273, 0.1978, 0.2286)
O (0.5412, 0.1860, 0.9915)
O (0.5571, 0.4195, 0.4652)
O (0.6141, 0.5463, 0.8446)
O (0.6187, 0.6215, 0.9983)
O (0.6325, 0.8850, 0.6078)
O (0.6350, 0.9644, 0.7618)
O (0.6917, 0.9264, 0.1420)
O (0.7084, 0.3193, 0.6182)
O (0.7244, 0.7075, 0.3806)
O (0.7464, 0.4920, 0.2591)
O (0.7491, 0.2368, 0.8746)
O (0.7505, 0.0309, 0.0143)
O (0.7495, 0.0309, 0.5143)
O (0.7509, 0.2368, 0.3746)
O (0.7536, 0.4920, 0.7591)
O (0.7756, 0.7075, 0.8806)
O (0.7916, 0.3193, 0.1182)
O (0.8083, 0.9264, 0.6420)
O (0.8650, 0.9644, 0.2618)
O (0.8675, 0.8850, 0.1078)
O (0.8813, 0.6215, 0.4983)
O (0.8859, 0.5463, 0.3446)
O (0.9429, 0.4195, 0.9652)
O (0.9588, 0.1860, 0.4915)
O (0.9727, 0.1978, 0.7286)
O (0.9984, 0.4920, 0.5931)
O (0.9975, 0.9737, 0.8485)

Computed properties:
The calculation puts the raw total energy at -94.81 eV/f.u. As for the calculated formation energy: -2.951 eV per atom.

Here is an optimized crystal structure of NaDyPd6O8 from the Materials Project. Energies are from PBE.

Unit cell a=5.8299 b=5.8299 c=5.8299 alpha=90.00 beta=90.00 gamma=90.00
Element x y z (fractional)
Na (0.0000, 0.0000, 0.0000)
Dy (0.5000, 0.5000, 0.5000)
Pd (0.0000, 0.2490, 0.5000)
Pd (0.0000, 0.7510, 0.5000)
Pd (0.2490, 0.5000, 0.0000)
Pd (0.5000, 0.0000, 0.2490)
Pd (0.5000, 0.0000, 0.7510)
Pd (0.7510, 0.5000, 0.0000)
O (0.2599, 0.2599, 0.2599)
O (0.2599, 0.2599, 0.7401)
O (0.2599, 0.7401, 0.2599)
O (0.2599, 0.7401, 0.7401)
O (0.7401, 0.2599, 0.2599)
O (0.7401, 0.2599, 0.7401)
O (0.7401, 0.7401, 0.2599)
O (0.7401, 0.7401, 0.7401)

Computed properties:
The calculation puts the raw total energy at -94.22 eV/f.u. As for the calculated formation energy: -1.445 eV per atom.